# BaTi4Bi4O15

A relaxed BaTi4Bi4O15 crystal (GGA-PBE, the Materials Project database).

Summary:
E, eV per atom: -7.393
Formation energy from the elements, eV per atom: -2.69

Cell: 20.5517 20.5517 20.5517 Å, 169.11 169.11 15.42°
Element x y z (fractional)
Ba1 0.0000 0.0000 0.0000
Ti1 0.3472 0.3472 0.0000
Ti2 0.4487 0.4487 0.0000
Ti3 0.5513 0.5513 0.0000
Ti4 0.6528 0.6528 0.0000
Bi1 0.1041 0.1041 0.0000
Bi2 0.2193 0.2193 0.0000
Bi3 0.7807 0.7807 0.0000
Bi4 0.8959 0.8959 0.0000
O1 0.0518 0.5518 0.5000
O2 0.1434 0.6434 0.5000
O3 0.2500 0.7500 0.5000
O4 0.3034 0.3034 0.0000
O5 0.3566 0.8566 0.5000
O6 0.4014 0.4014 0.0000
O7 0.4482 0.9482 0.5000
O8 0.5000 0.5000 0.0000
O9 0.5518 0.0518 0.5000
O10 0.5986 0.5986 0.0000
O11 0.6434 0.1434 0.5000
O12 0.6966 0.6966 0.0000
O13 0.7500 0.2500 0.5000
O14 0.8566 0.3566 0.5000
O15 0.9482 0.4482 0.5000